Material: Li7V3P8O29
Method: DFT, GGA+U
State: optimized geometry

```
data_Li7V3P8O29
_cell_length_a 9.851
_cell_length_b 9.868
_cell_length_c 13.919
_cell_angle_alpha 90.00
_cell_angle_beta 90.00
_cell_angle_gamma 119.92
_symmetry_space_group_name_H-M 'P 1'
_symmetry_Int_Tables_number 1
_symmetry_space_group_name_Hall 'P 1'
loop_
_atom_site_label
_atom_site_fract_x
_atom_site_fract_y
_atom_site_fract_z
Li1 0.000 0.000 0.000
Li2 0.003 0.583 0.505
Li3 0.090 0.774 0.123
Li4 0.096 0.911 0.629
Li5 0.108 0.350 0.179
Li6 0.437 0.013 0.449
Li7 0.456 0.591 0.000
Li8 0.535 0.773 0.629
Li9 0.544 0.360 0.124
Li10 0.672 0.345 0.629
Li11 0.681 0.906 0.122
Li12 0.723 0.647 0.564
Li13 0.862 0.461 0.000
Li14 0.870 0.015 0.507
V1 0.205 0.682 0.315
V2 0.208 0.117 0.812
V3 0.337 0.252 0.319
V4 0.338 0.681 0.814
V5 0.771 0.249 0.815
V6 0.772 0.117 0.313
P1 0.003 0.003 0.221
P2 0.088 0.911 0.408
P3 0.092 0.773 0.905
P4 0.099 0.343 0.439
P5 0.104 0.346 0.937
P6 0.439 0.017 0.690
P7 0.439 0.021 0.192
P8 0.451 0.592 0.223
P9 0.463 0.455 0.722
P10 0.538 0.359 0.908
P11 0.548 0.774 0.410
P12 0.682 0.365 0.406
P13 0.686 0.915 0.906
P14 0.860 0.999 0.722
P15 0.862 0.450 0.220
P16 0.997 0.593 0.723
O1 0.003 0.919 0.496
O2 0.009 0.686 0.995
O3 0.017 0.924 0.132
O4 0.021 0.601 0.218
O5 0.026 0.019 0.723
O6 0.090 0.320 0.544
O7 0.094 0.335 0.046
O8 0.098 0.195 0.895
O9 0.098 0.492 0.404
O10 0.101 0.762 0.409
O11 0.105 0.937 0.902
O12 0.146 0.168 0.236
O13 0.146 0.586 0.731
O14 0.245 0.341 0.391
O15 0.251 0.787 0.889
O16 0.254 0.056 0.395
O17 0.257 0.493 0.904
O18 0.282 0.004 0.729
O19 0.284 0.564 0.238
O20 0.292 0.870 0.229
O21 0.308 0.299 0.731
O22 0.392 0.199 0.888
O23 0.402 0.792 0.400
O24 0.435 0.166 0.237
O25 0.438 0.025 0.581
O26 0.439 0.597 0.721
O27 0.443 0.431 0.224
O28 0.450 0.872 0.723
O29 0.454 0.035 0.086
O30 0.518 0.344 0.405
O31 0.525 0.435 0.999
O32 0.525 0.768 0.908
O33 0.530 0.685 0.134
O34 0.555 0.682 0.316
O35 0.557 0.693 0.499
O36 0.558 0.474 0.821
O37 0.568 0.464 0.640
O38 0.582 0.171 0.729
O39 0.591 0.024 0.237
O40 0.669 0.202 0.396
O41 0.674 0.064 0.885
O42 0.688 0.346 0.907
O43 0.697 0.937 0.404
O44 0.765 0.428 0.132
O45 0.772 0.453 0.495
O46 0.772 0.466 0.313
O47 0.772 0.906 0.634
O48 0.776 0.894 0.816
O49 0.779 0.936 0.996
O50 0.850 0.426 0.727
O51 0.852 0.014 0.220
O52 0.864 0.155 0.734
O53 0.888 0.310 0.238
O54 0.951 0.194 0.392
O55 0.957 0.354 0.899
O56 0.978 0.681 0.815
O57 0.985 0.675 0.633
O58 0.987 0.898 0.313
```

The calculation puts the calculated density at 2.59 g/cm³. The value obtained for the polymorph energy (0 for the lowest one) is 0.7 kJ per mole of atoms. The value obtained for the formation energy is -2686 meV per atom.